No. 1
# CsCaMg6 PBE relaxed
data_CsCaMg6
_chemical_formula_sum 'Cs2 Ca2 Mg12'
_cell_length_a 5.259
_cell_length_b 7.105
_cell_length_c 13.507
_cell_angle_alpha 90.00
_cell_angle_beta 90.00
_cell_angle_gamma 90.00
_space_group_name_H-M_alt 'P 1'
_space_group_IT_number 1
_space_group_name_Hall 'P 1'
loop_
_atom_site_label
_atom_site_fract_x
_atom_site_fract_y
_atom_site_fract_z
Cs1 0.500 0.500 0.182
Cs2 0.500 0.000 0.682
Ca1 0.500 0.000 0.166
Ca2 0.500 0.500 0.666
Mg1 0.500 0.239 0.423
Mg2 0.500 0.761 0.423
Mg3 0.000 0.768 0.047
Mg4 0.000 0.232 0.047
Mg5 0.000 0.000 0.350
Mg6 0.000 0.500 0.362
Mg7 0.500 0.739 0.923
Mg8 0.500 0.261 0.923
Mg9 0.000 0.268 0.547
Mg10 0.000 0.732 0.547
Mg11 0.000 0.500 0.850
Mg12 0.000 0.000 0.862
# energy: -1.32 eV/atom
# total magnetization: 0.0 μB per cell
# formation energy: 0.2422 eV/atom
# polymorph energy (0 for the lowest one): 0 meV/atom


No. 2
# CsCaMg14 PBE relaxed
data_CsCaMg14
_chemical_formula_sum 'Cs1 Ca1 Mg14'
_cell_length_a 6.816
_cell_length_b 6.816
_cell_length_c 10.704
_cell_angle_alpha 90.00
_cell_angle_beta 90.00
_cell_angle_gamma 120.00
_space_group_name_H-M_alt 'P 1'
_space_group_IT_number 1
_space_group_name_Hall 'P 1'
loop_
_atom_site_label
_atom_site_fract_x
_atom_site_fract_y
_atom_site_fract_z
Cs1 0.167 0.333 0.625
Ca1 0.167 0.333 0.125
Mg1 0.173 0.837 0.125
Mg2 0.173 0.836 0.625
Mg3 0.663 0.327 0.125
Mg4 0.664 0.327 0.625
Mg5 0.663 0.837 0.125
Mg6 0.664 0.836 0.625
Mg7 0.344 0.156 0.365
Mg8 0.344 0.156 0.885
Mg9 0.344 0.688 0.365
Mg10 0.344 0.688 0.885
Mg11 0.812 0.156 0.365
Mg12 0.812 0.156 0.885
Mg13 0.833 0.667 0.376
Mg14 0.833 0.667 0.874
# energy: -1.42 eV/atom
# total magnetization: 0.0 μB per cell
# formation energy: 0.1611 eV/atom
# polymorph energy (0 for the lowest one): 0 meV/atom
# symmetry: P-6m2 (187)


No. 3
# CsCaMg6 PBE relaxed
data_CsCaMg6
_chemical_formula_sum 'Cs2 Ca2 Mg12'
_cell_length_a 5.545
_cell_length_b 7.126
_cell_length_c 12.418
_cell_angle_alpha 90.00
_cell_angle_beta 90.00
_cell_angle_gamma 90.00
_space_group_name_H-M_alt 'P 1'
_space_group_IT_number 1
_space_group_name_Hall 'P 1'
loop_
_atom_site_label
_atom_site_fract_x
_atom_site_fract_y
_atom_site_fract_z
Cs1 0.500 0.500 0.161
Cs2 0.500 0.000 0.661
Ca1 0.000 0.500 0.345
Ca2 0.000 0.000 0.845
Mg1 0.000 0.778 0.080
Mg2 0.000 0.222 0.080
Mg3 0.000 0.000 0.333
Mg4 0.500 0.248 0.417
Mg5 0.500 0.752 0.417
Mg6 0.500 0.000 0.166
Mg7 0.000 0.278 0.580
Mg8 0.000 0.722 0.580
Mg9 0.000 0.500 0.833
Mg10 0.500 0.748 0.917
Mg11 0.500 0.252 0.917
Mg12 0.500 0.500 0.666
# energy: -1.31 eV/atom
# total magnetization: 0.0 μB per cell
# formation energy: 0.2559 eV/atom
# polymorph energy (0 for the lowest one): 14 meV/atom


No. 4
# Cs2Ca5N4 PBE relaxed
data_Cs2Ca5N4
_chemical_formula_sum 'Cs8 Ca20 N16'
_cell_length_a 7.933
_cell_length_b 7.933
_cell_length_c 17.832
_cell_angle_alpha 90.00
_cell_angle_beta 90.00
_cell_angle_gamma 90.00
_space_group_name_H-M_alt 'P 1'
_space_group_IT_number 1
_space_group_name_Hall 'P 1'
loop_
_atom_site_label
_atom_site_fract_x
_atom_site_fract_y
_atom_site_fract_z
Cs1 0.034 0.966 0.250
Cs2 0.466 0.966 0.750
Cs3 0.034 0.534 0.750
Cs4 0.466 0.534 0.250
Cs5 0.966 0.034 0.750
Cs6 0.534 0.034 0.250
Cs7 0.966 0.466 0.250
Cs8 0.534 0.466 0.750
Ca1 0.750 0.750 0.419
Ca2 0.750 0.750 0.919
Ca3 0.250 0.250 0.581
Ca4 0.250 0.250 0.081
Ca5 0.135 0.580 0.437
Ca6 0.365 0.580 0.937
Ca7 0.135 0.920 0.937
Ca8 0.365 0.920 0.437
Ca9 0.580 0.135 0.937
Ca10 0.920 0.135 0.437
Ca11 0.580 0.365 0.437
Ca12 0.920 0.365 0.937
Ca13 0.865 0.420 0.563
Ca14 0.635 0.420 0.063
Ca15 0.865 0.080 0.063
Ca16 0.635 0.080 0.563
Ca17 0.420 0.865 0.063
Ca18 0.080 0.865 0.563
Ca19 0.420 0.635 0.563
Ca20 0.080 0.635 0.063
N1 0.635 0.052 0.422
N2 0.865 0.052 0.922
N3 0.635 0.448 0.922
N4 0.865 0.448 0.422
N5 0.052 0.635 0.922
N6 0.448 0.635 0.422
N7 0.052 0.865 0.422
N8 0.448 0.865 0.922
N9 0.365 0.948 0.578
N10 0.135 0.948 0.078
N11 0.365 0.552 0.078
N12 0.135 0.552 0.578
N13 0.948 0.365 0.078
N14 0.552 0.365 0.578
N15 0.948 0.135 0.578
N16 0.552 0.135 0.078
# energy: -4.46 eV/atom
# total magnetization: 0.7 μB per cell
# formation energy: -0.4873 eV/atom
# symmetry: P4/ncc (130)


No. 5
# Cs2CaP2O7 PBE relaxed
data_Cs2CaP2O7
_chemical_formula_sum 'Cs2 Ca1 P2 O7'
_cell_length_a 6.008
_cell_length_b 6.008
_cell_length_c 7.496
_cell_angle_alpha 66.34
_cell_angle_beta 66.34
_cell_angle_gamma 60.05
_space_group_name_H-M_alt 'P 1'
_space_group_IT_number 1
_space_group_name_Hall 'P 1'
loop_
_atom_site_label
_atom_site_fract_x
_atom_site_fract_y
_atom_site_fract_z
Cs1 0.780 0.780 0.665
Cs2 0.221 0.221 0.336
Ca1 0.002 0.002 0.000
P1 0.424 0.424 0.744
P2 0.585 0.585 0.256
O1 0.257 0.683 0.811
O2 0.683 0.257 0.811
O3 0.741 0.312 0.209
O4 0.312 0.741 0.209
O5 0.265 0.265 0.785
O6 0.750 0.750 0.178
O7 0.525 0.525 0.500
# energy: -6.59 eV/atom
# total magnetization: 0.0 μB per cell
# formation energy: -2.8879 eV/atom
# symmetry: Cm (8)


No. 6
# CsCa2Ta3O10 PBE relaxed
data_CsCa2Ta3O10
_chemical_formula_sum 'Cs1 Ca2 Ta3 O10'
_cell_length_a 3.951
_cell_length_b 3.951
_cell_length_c 15.514
_cell_angle_alpha 90.00
_cell_angle_beta 90.00
_cell_angle_gamma 90.00
_space_group_name_H-M_alt 'P 1'
_space_group_IT_number 1
_space_group_name_Hall 'P 1'
loop_
_atom_site_label
_atom_site_fract_x
_atom_site_fract_y
_atom_site_fract_z
Cs1 0.500 0.500 0.500
Ca1 0.500 0.500 0.852
Ca2 0.500 0.500 0.148
Ta1 0.000 0.000 0.000
Ta2 0.000 0.000 0.275
Ta3 0.000 0.000 0.725
O1 0.000 0.000 0.609
O2 0.000 0.000 0.391
O3 0.500 0.000 0.751
O4 0.000 0.500 0.751
O5 0.500 0.000 0.249
O6 0.000 0.500 0.249
O7 0.000 0.500 0.000
O8 0.500 0.000 0.000
O9 0.000 0.000 0.127
O10 0.000 0.000 0.873
# energy: -8.51 eV/atom
# total magnetization: 0.1 μB per cell
# formation energy: -3.3212 eV/atom
# symmetry: P4/mmm (123)


No. 7
# CaCu PBE relaxed
data_CaCu
_chemical_formula_sum 'Ca10 Cu10'
_cell_length_a 4.233
_cell_length_b 5.818
_cell_length_c 19.311
_cell_angle_alpha 85.65
_cell_angle_beta 90.00
_cell_angle_gamma 90.00
_space_group_name_H-M_alt 'P 1'
_space_group_IT_number 1
_space_group_name_Hall 'P 1'
loop_
_atom_site_label
_atom_site_fract_x
_atom_site_fract_y
_atom_site_fract_z
Ca1 0.250 0.344 0.128
Ca2 0.750 0.656 0.872
Ca3 0.250 0.540 0.328
Ca4 0.750 0.460 0.672
Ca5 0.250 0.242 0.528
Ca6 0.750 0.758 0.472
Ca7 0.250 0.946 0.728
Ca8 0.750 0.054 0.272
Ca9 0.250 0.145 0.928
Ca10 0.750 0.855 0.072
Cu1 0.250 0.809 0.188
Cu2 0.750 0.191 0.812
Cu3 0.250 0.044 0.388
Cu4 0.750 0.956 0.612
Cu5 0.250 0.747 0.588
Cu6 0.750 0.253 0.412
Cu7 0.250 0.412 0.788
Cu8 0.750 0.588 0.212
Cu9 0.250 0.610 0.988
Cu10 0.750 0.390 0.012
# energy: -3.20 eV/atom
# formation energy: -0.1429 eV/atom
# symmetry: P2_1/m (11)


No. 8
# CaCu5 PBE relaxed
data_CaCu5
_chemical_formula_sum 'Ca1 Cu5'
_cell_length_a 4.026
_cell_length_b 5.106
_cell_length_c 5.106
_cell_angle_alpha 120.00
_cell_angle_beta 90.00
_cell_angle_gamma 90.00
_space_group_name_H-M_alt 'P 1'
_space_group_IT_number 1
_space_group_name_Hall 'P 1'
loop_
_atom_site_label
_atom_site_fract_x
_atom_site_fract_y
_atom_site_fract_z
Ca1 0.000 0.000 0.000
Cu1 0.000 0.333 0.667
Cu2 0.000 0.667 0.333
Cu3 0.500 0.000 0.500
Cu4 0.500 0.500 0.500
Cu5 0.500 0.500 0.000
# energy: -3.87 eV/atom
# formation energy: -0.1220 eV/atom
# symmetry: P6/mmm (191)